[1]
Density functional theory data (r²SCAN) for a geometry-optimized Nb2Ni21B6 structure.

```
Nb2Ni21B6
1.0
4.5520 -5.0873 2.8078
-1.8860 -7.1344 -0.1668
3.5557 -4.6532 -4.4933
Ni B Nb
21 6 2
Direct
0.6155 0.6155 0.1534
0.0000 0.0000 0.0000
0.6155 0.1534 0.6155
0.0000 0.3405 0.6595
0.8466 0.3845 0.3845
0.6595 0.0000 0.0000
0.6595 0.0000 0.3404
0.3845 0.3845 0.8466
0.0000 0.0000 0.3405
0.6155 0.6155 0.6155
0.0000 0.3405 0.0000
0.6595 0.3405 0.0000
0.1534 0.6155 0.6155
0.3845 0.8466 0.3845
0.0000 0.6595 0.3405
0.3845 0.3845 0.3845
0.0000 0.0000 0.6595
0.0000 0.6595 0.0000
0.3405 0.6595 0.0000
0.3405 0.0000 0.0000
0.3405 0.0000 0.6596
0.7325 0.2675 0.2675
0.7325 0.7325 0.2675
0.2675 0.7325 0.2675
0.2675 0.2675 0.7325
0.2675 0.7325 0.7325
0.7325 0.2675 0.7325
0.2500 0.2500 0.2500
0.7500 0.7500 0.7500
```

Properties
Crystal system: cubic

[2]
Density functional theory data (r²SCAN) for a geometry-optimized Mg15Cu structure.

```
Mg15Cu
1.0
3.1438 -5.4452 0.0000
3.1438 5.4452 0.0000
0.0000 0.0000 10.0018
Mg Cu
15 1
Direct
0.1709 0.3418 0.7592
0.8314 0.1686 0.0000
0.8347 0.1653 0.5000
0.1709 0.3418 0.2408
0.3372 0.1686 0.0000
0.6582 0.8291 0.2408
0.6582 0.8291 0.7592
0.1709 0.8291 0.2408
0.8314 0.6628 0.0000
0.3333 0.6667 0.5000
0.8347 0.6694 0.5000
0.6667 0.3333 0.2529
0.3306 0.1653 0.5000
0.6667 0.3333 0.7471
0.1709 0.8291 0.7592
0.3333 0.6667 0.0000
```

Properties
Crystal system: hexagonal

[3]
Density functional theory data (r²SCAN) for a geometry-optimized BaTi6O13 structure.

```
BaTi6O13
1.0
7.4916 -0.0212 0.0007
3.6705 6.5918 -0.0027
2.6478 1.9457 9.3439
O Ti Ba
26 12 2
Direct
0.1674 0.0096 0.6130
0.8326 0.9904 0.3870
0.6010 0.8743 0.5996
0.7235 0.1518 0.6398
0.8435 0.2936 0.1405
0.3700 0.4581 0.1279
0.6911 0.7109 0.3774
0.1565 0.7064 0.8595
0.9444 0.5835 0.1170
0.7415 0.8288 0.8901
0.5466 0.4152 0.3742
0.9827 0.2760 0.3672
0.1253 0.8689 0.1473
0.6300 0.5419 0.8721
0.8821 0.4459 0.6093
0.3990 0.1257 0.4004
0.5625 0.6766 0.1402
0.8747 0.1311 0.8527
0.2585 0.1712 0.1099
0.0173 0.7240 0.6328
0.1179 0.5541 0.3907
0.4375 0.3234 0.8598
0.0556 0.4165 0.8830
0.3089 0.2891 0.6226
0.4534 0.5848 0.6258
0.2765 0.8482 0.3602
0.9240 0.9176 0.7665
0.7899 0.5436 0.9805
0.7564 0.5064 0.2786
0.4093 0.8441 0.4971
0.6806 0.3714 0.7513
0.3194 0.6286 0.2487
0.1310 0.2756 0.4980
0.2436 0.4936 0.7214
0.8690 0.7244 0.5020
0.0760 0.0824 0.2335
0.2101 0.4564 0.0195
0.5907 0.1559 0.5029
0.3240 0.9694 0.8700
0.6760 0.0306 0.1300
```

Properties
Crystal system: triclinic

[4]
Density functional theory data (r²SCAN) for a geometry-optimized Be2RuPt structure.

```
Be2RuPt
1.0
0.0000 2.7982 2.7982
2.7982 0.0000 2.7982
2.7982 2.7982 0.0000
Pt Be Ru
1 2 1
Direct
0.2500 0.2500 0.2500
0.5000 0.5000 0.5000
0.0000 0.0000 0.0000
0.7500 0.7500 0.7500
```

Properties
Crystal system: cubic

[5]
Density functional theory data (r²SCAN) for a geometry-optimized CeMg2H7 structure.

```
CeMg2H7
1.0
-5.2514 -2.7113 2.1255
-0.6959 -2.9602 -5.4954
5.0693 -7.2570 3.2672
H Ce Mg
28 4 8
Direct
0.9706 0.9651 0.3715
0.0640 0.5719 0.4267
0.6597 0.1960 0.0050
0.7436 0.2564 0.2500
0.7564 0.7564 0.0000
0.2436 0.2436 0.5000
0.6960 0.8403 0.7550
0.9651 0.9706 0.6285
0.5640 0.9281 0.3233
0.1597 0.3040 0.7450
0.0349 0.0294 0.1285
0.4281 0.9360 0.0733
0.3403 0.8040 0.5050
0.9281 0.5640 0.6767
0.0294 0.0349 0.8715
0.4706 0.5349 0.3785
0.4360 0.0719 0.8233
0.5294 0.4651 0.8785
0.9360 0.4281 0.9267
0.5349 0.4706 0.6215
0.2564 0.7436 0.7500
0.5719 0.0640 0.5733
0.8040 0.3403 0.4950
0.1960 0.6597 0.9950
0.0719 0.4360 0.1767
0.4651 0.5294 0.1215
0.8403 0.6960 0.2450
0.3040 0.1597 0.2550
0.2289 0.7711 0.2500
0.7711 0.2289 0.7500
0.2711 0.2711 0.0000
0.7289 0.7289 0.5000
0.4728 0.7632 0.8997
0.2368 0.5272 0.6003
0.7632 0.4728 0.1003
0.0272 0.2632 0.3503
0.7368 0.9728 0.1497
0.2632 0.0272 0.6497
0.5272 0.2368 0.3997
0.9728 0.7368 0.8503
```

Properties
Crystal system: tetragonal

[6]
Density functional theory data (r²SCAN) for a geometry-optimized YCoC2 structure.

```
YCoC2
1.0
3.5748 0.0000 0.0000
0.0000 3.5796 -1.0444
0.0000 0.0042 3.7289
Y C Co
1 2 1
Direct
0.0000 0.9977 0.0023
0.5000 0.1506 0.5418
0.5000 0.4582 0.8494
0.5000 0.6135 0.3865
```

Properties
Crystal system: orthorhombic

[7]
Density functional theory data (r²SCAN) for a geometry-optimized Li2Mn2OF6 structure.

```
Li2Mn2OF6
1.0
5.2014 0.0647 0.0532
0.6630 6.6637 0.0190
1.8505 2.7547 7.5500
F Li Mn O
12 4 4 2
Direct
0.6469 0.2414 0.7228
0.3260 0.7487 0.2905
0.5494 0.4259 0.2242
0.6448 0.8214 0.9687
0.4402 0.5869 0.7727
0.2355 0.4109 0.5778
0.0827 0.6133 0.0867
0.3301 0.1885 0.0601
0.9202 0.7953 0.6127
0.1674 0.0151 0.8152
0.0891 0.1987 0.3908
0.8132 0.9855 0.1932
0.6645 0.2477 0.0808
0.3412 0.7662 0.8982
0.1123 0.0055 0.2765
0.8746 0.9822 0.7403
0.8172 0.5200 0.6611
0.2637 0.2955 0.8243
0.1864 0.4741 0.3291
0.7275 0.7104 0.1942
0.8400 0.5697 0.4069
0.9269 0.3972 0.8733
```

Properties
Crystal system: triclinic

[8]
Density functional theory data (r²SCAN) for a geometry-optimized HoGeIr structure.

```
HoGeIr
1.0
-2.6842 -1.1720 -3.1120
5.1973 -0.1373 -4.4310
1.2348 -7.2720 1.6737
Ge Ho Ir
4 4 4
Direct
0.7500 0.2082 0.8890
0.2500 0.7918 0.1110
0.2500 0.2918 0.3890
0.7500 0.7082 0.6110
0.2500 0.0043 0.6924
0.7500 0.9957 0.3076
0.7500 0.4957 0.1924
0.2500 0.5043 0.8076
0.2500 0.1597 0.0650
0.2500 0.6597 0.4350
0.7500 0.3403 0.5650
0.7500 0.8403 0.9350
```

Properties
Crystal system: orthorhombic

[9]
Density functional theory data (r²SCAN) for a geometry-optimized PrPb2 structure.

```
PrPb2
1.0
-4.5673 -0.4995 -0.9257
0.0822 -4.2814 1.9050
-1.4743 8.9128 14.3295
Pb Pr
8 4
Direct
0.5918 0.5918 0.1836
0.9999 0.4999 0.9999
0.5001 0.0001 0.0001
0.6582 0.1582 0.3164
0.4082 0.4082 0.8164
0.8418 0.3418 0.6836
0.2501 0.2501 0.5001
0.7499 0.7499 0.4999
0.9272 0.9272 0.8545
0.3228 0.8228 0.6455
0.0728 0.0728 0.1455
0.1772 0.6772 0.3545
```

Properties
Crystal system: tetragonal

[10]
Density functional theory data (r²SCAN) for a geometry-optimized Na6Sn2Se7 structure.

```
Na6Sn2Se7
1.0
-7.0189 1.8917 -1.4737
-1.3120 -4.7313 5.5595
-2.5524 10.4143 11.8778
Na Se Sn
12 14 4
Direct
0.4282 0.5718 0.2500
0.5000 0.5000 0.5000
0.0441 0.5024 0.8621
0.9595 0.2500 0.4276
0.7500 0.0405 0.0724
0.5000 0.5000 0.0000
0.5718 0.4282 0.7500
0.0405 0.7500 0.5724
0.5024 0.0441 0.3621
0.2500 0.9595 0.9276
0.4976 0.9559 0.6379
0.9559 0.4976 0.1379
0.3163 0.7692 0.1024
0.0486 0.9514 0.7500
0.2308 0.6837 0.3976
0.7692 0.3163 0.6024
0.2495 0.5181 0.6794
0.2684 0.1355 0.5160
0.4819 0.7505 0.8206
0.8645 0.7316 0.9840
0.5181 0.2495 0.1794
0.7505 0.4819 0.3206
0.7316 0.8645 0.4840
0.9514 0.0486 0.2500
0.1355 0.2684 0.0160
0.6837 0.2308 0.8976
0.7530 0.9274 0.8646
0.9274 0.7530 0.3646
0.0726 0.2470 0.6354
0.2470 0.0726 0.1354
```

Properties
Crystal system: monoclinic

[11]
Density functional theory data (r²SCAN) for a geometry-optimized UCu2Si2 structure.

```
UCu2Si2
1.0
3.7145 0.0000 -1.3816
-0.5139 3.6788 -1.3816
0.0265 0.0305 5.7555
Cu U Si
2 1 2
Direct
0.7500 0.2500 0.5000
0.2500 0.7500 0.5000
0.0000 0.0000 0.0000
0.6190 0.6190 0.2380
0.3810 0.3810 0.7620
```

Properties
Crystal system: tetragonal

[12]
Density functional theory data (r²SCAN) for a geometry-optimized CeZn3P3 structure.

```
CeZn3P3
1.0
1.3459 0.8652 3.6962
-3.9604 -0.1385 -0.7199
-0.1584 -19.5141 4.6253
P Zn Ce
6 6 2
Direct
0.6667 0.3333 0.7500
0.6667 0.3333 0.0885
0.3333 0.6667 0.5885
0.3333 0.6667 0.9115
0.6667 0.3333 0.4115
0.3333 0.6667 0.2500
0.3333 0.6667 0.7500
0.6667 0.3333 0.2500
0.6667 0.3333 0.6306
0.6667 0.3333 0.8694
0.3333 0.6667 0.1306
0.3333 0.6667 0.3694
0.0000 0.0000 0.0000
0.0000 0.0000 0.5000
```

Properties
Crystal system: hexagonal

| no. | energy relative to the elements (meV per atom) | magnetic moment (μB per atom) |
| --- | --- | --- |
| 1 | -298 | 0.00 |
| 2 | 35 | 0.00 |
| 3 | -3346 | 0.00 |
| 4 | -537 | 0.00 |
| 5 | -413 | 0.10 |
| 6 | -390 | 0.00 |
| 7 | -2820 | 0.73 |
| 8 | -1058 | 0.00 |
| 9 | -605 | 0.00 |
| 10 | -1027 | 0.00 |
| 11 | -435 | 0.53 |
| 12 | -727 | 0.14 |